Record 1
A geometry-optimized Li9Mn7O16 structure, computed with PBE with a Hubbard U.

Properties
The value obtained for the energy above the most stable polymorph in this dataset is 17 meV/atom.

```
data_Li9Mn7O16
_cell_length_a 11.329
_cell_length_b 11.329
_cell_length_c 9.789
_cell_angle_alpha 108.51
_cell_angle_beta 108.51
_cell_angle_gamma 14.60
_symmetry_space_group_name_H-M 'P 1'
_symmetry_Int_Tables_number 1
_symmetry_space_group_name_Hall 'P 1'
loop_
_atom_site_label
_atom_site_type_symbol
_atom_site_fract_x
_atom_site_fract_y
_atom_site_fract_z
Li1 Li 0.000 0.000 0.000
Li2 Li 0.062 0.062 0.303
Li3 Li 0.182 0.182 0.939
Li4 Li 0.314 0.314 0.561
Li5 Li 0.441 0.441 0.183
Li6 Li 0.559 0.559 0.817
Li7 Li 0.686 0.686 0.439
Li8 Li 0.818 0.818 0.061
Li9 Li 0.938 0.938 0.697
Mn1 Mn 0.126 0.126 0.630
Mn2 Mn 0.246 0.246 0.248
Mn3 Mn 0.383 0.383 0.876
Mn4 Mn 0.500 0.500 0.500
Mn5 Mn 0.617 0.617 0.124
Mn6 Mn 0.754 0.754 0.752
Mn7 Mn 0.874 0.874 0.370
O1 O 0.026 0.026 0.645
O2 O 0.096 0.096 0.983
O3 O 0.150 0.150 0.264
O4 O 0.225 0.225 0.610
O5 O 0.287 0.287 0.895
O6 O 0.346 0.346 0.226
O7 O 0.400 0.400 0.512
O8 O 0.459 0.459 0.847
O9 O 0.541 0.541 0.153
O10 O 0.600 0.600 0.488
O11 O 0.654 0.654 0.774
O12 O 0.713 0.713 0.105
O13 O 0.775 0.775 0.390
O14 O 0.850 0.850 0.736
O15 O 0.904 0.904 0.017
O16 O 0.974 0.974 0.355
```

***

Record 2
A geometry-optimized KNaCaCo5Si8O24 structure, computed with PBE with a Hubbard U.

```
data_KNaCaCo5Si8O24
_cell_length_a 5.292
_cell_length_b 10.199
_cell_length_c 10.473
_cell_angle_alpha 114.92
_cell_angle_beta 97.32
_cell_angle_gamma 104.91
_symmetry_space_group_name_H-M 'P 1'
_symmetry_Int_Tables_number 1
_symmetry_space_group_name_Hall 'P 1'
loop_
_atom_site_label
_atom_site_type_symbol
_atom_site_fract_x
_atom_site_fract_y
_atom_site_fract_z
K1 K 0.000 0.000 0.000
Na1 Na 0.734 0.212 0.448
Ca1 Ca 0.283 0.761 0.545
Co1 Co 0.093 0.572 0.165
Co2 Co 0.326 0.304 0.629
Co3 Co 0.507 0.486 0.993
Co4 Co 0.688 0.667 0.355
Co5 Co 0.926 0.404 0.830
Si1 Si 0.161 0.943 0.337
Si2 Si 0.198 0.373 0.338
Si3 Si 0.396 0.678 0.828
Si4 Si 0.453 0.129 0.828
Si5 Si 0.569 0.847 0.166
Si6 Si 0.619 0.298 0.166
Si7 Si 0.818 0.601 0.657
Si8 Si 0.861 0.035 0.657
O1 O 0.080 0.778 0.341
O2 O 0.137 0.714 0.764
O3 O 0.138 0.016 0.735
O4 O 0.144 0.389 0.986
O5 O 0.193 0.375 0.490
O6 O 0.283 0.541 0.341
O7 O 0.307 0.509 0.819
O8 O 0.319 0.093 0.490
O9 O 0.364 0.938 0.225
O10 O 0.392 0.275 0.255
O11 O 0.482 0.159 0.996
O12 O 0.494 0.684 0.170
O13 O 0.533 0.288 0.818
O14 O 0.539 0.816 0.996
O15 O 0.618 0.697 0.734
O16 O 0.648 0.029 0.764
O17 O 0.696 0.880 0.507
O18 O 0.698 0.465 0.170
O19 O 0.739 0.438 0.664
O20 O 0.832 0.605 0.507
O21 O 0.863 0.574 0.986
O22 O 0.884 0.265 0.225
O23 O 0.884 0.958 0.255
O24 O 0.945 0.203 0.663
```

***

| no. | calculated total energy (eV/f.u.) | formation energy (kJ/mol of atoms) |
| --- | --- | --- |
| 1 | -205.896 | -205 |
| 2 | -283.349 | -255 |